[1]
{
  "formula": "EuPaO4",
  "functional": "meta-GGA r2SCAN",
  "state": "optimized geometry",
  "lattice": [[1.400, 1.292, 6.336], [-5.608, -0.102, 3.510], [2.585, -4.349, -4.264]],
  "species": ["Eu", "Eu", "O", "O", "O", "O", "O", "O", "O", "O", "Pa", "Pa"],
  "frac_coords": [[0.250, 0.750, 0.500], [0.500, 0.500, 0.000], [0.109, 0.125, 0.484], [0.641, 0.125, 0.016], [0.375, 0.359, 0.484], [0.109, 0.625, 0.984], [0.375, 0.891, 0.016], [0.641, 0.625, 0.516], [0.875, 0.891, 0.516], [0.875, 0.359, 0.984], [0.750, 0.250, 0.500], [0.000, 0.000, 0.000]],
  "formation_enthalpy_0k_ev_per_atom": -3.73,
  "mass_density_g_cm3": 9.34,
  "final_energy_ev_per_atom": -26.944
}

=====

[2]
{
  "formula": "Eu2Pb2O7",
  "functional": "meta-GGA r2SCAN",
  "state": "optimized geometry",
  "lattice": [[0.000, 5.407, 5.405], [5.407, 0.000, 5.405], [5.407, 5.407, 0.000]],
  "species": ["O", "O", "O", "O", "O", "O", "O", "O", "O", "O", "O", "O", "O", "O", "Eu", "Eu", "Eu", "Eu", "Pb", "Pb", "Pb", "Pb"],
  "frac_coords": [[0.781, 0.781, 0.219], [0.469, 0.031, 0.469], [0.469, 0.031, 0.031], [0.469, 0.469, 0.031], [0.219, 0.781, 0.781], [0.500, 0.500, 0.500], [0.781, 0.219, 0.781], [0.031, 0.031, 0.469], [0.781, 0.219, 0.219], [0.219, 0.781, 0.219], [0.219, 0.219, 0.781], [0.031, 0.469, 0.469], [0.750, 0.750, 0.750], [0.031, 0.469, 0.031], [0.125, 0.625, 0.625], [0.625, 0.125, 0.625], [0.625, 0.625, 0.125], [0.625, 0.625, 0.625], [0.125, 0.125, 0.625], [0.125, 0.125, 0.125], [0.125, 0.625, 0.125], [0.625, 0.125, 0.125]],
  "formation_enthalpy_0k_ev_per_atom": -2.01,
  "mass_density_g_cm3": 8.73,
  "final_energy_ev_per_atom": -23.043
}

=====

[3]
{
  "formula": "Eu4PdO7",
  "functional": "meta-GGA r2SCAN",
  "state": "optimized geometry",
  "lattice": [[6.518, 0.029, 2.126], [-0.021, 6.679, 2.488], [-0.013, -0.046, 7.853]],
  "species": ["O", "O", "O", "O", "O", "O", "O", "O", "O", "O", "O", "O", "O", "O", "Eu", "Eu", "Eu", "Eu", "Eu", "Eu", "Eu", "Eu", "Pd", "Pd"],
  "frac_coords": [[0.853, 0.586, 0.900], [0.738, 0.141, 0.079], [0.295, 0.926, 0.488], [0.484, 0.221, 0.825], [0.705, 0.074, 0.512], [0.952, 0.067, 0.742], [0.147, 0.414, 0.100], [0.048, 0.933, 0.258], [0.439, 0.339, 0.300], [0.154, 0.462, 0.601], [0.561, 0.661, 0.700], [0.516, 0.779, 0.175], [0.846, 0.538, 0.399], [0.262, 0.859, 0.921], [0.362, 0.140, 0.144], [0.337, 0.170, 0.619], [0.663, 0.830, 0.381], [0.790, 0.378, 0.211], [0.638, 0.860, 0.856], [0.208, 0.607, 0.274], [0.210, 0.622, 0.789], [0.792, 0.393, 0.726], [0.000, 0.000, 0.500], [0.000, 0.000, 0.000]],
  "formation_enthalpy_0k_ev_per_atom": -2.65,
  "mass_density_g_cm3": 8.00,
  "final_energy_ev_per_atom": -20.886
}

=====

[4]
{
  "formula": "Eu2Pt2O7",
  "functional": "meta-GGA r2SCAN",
  "state": "optimized geometry",
  "lattice": [[0.010, 5.178, 5.178], [5.178, 0.010, 5.178], [5.178, 5.178, 0.010]],
  "species": ["Eu", "Eu", "Eu", "Eu", "O", "O", "O", "O", "O", "O", "O", "O", "O", "O", "O", "O", "O", "O", "Pt", "Pt", "Pt", "Pt"],
  "frac_coords": [[0.125, 0.125, 0.625], [0.625, 0.125, 0.125], [0.125, 0.625, 0.125], [0.125, 0.125, 0.125], [0.541, 0.959, 0.541], [0.959, 0.541, 0.541], [0.291, 0.709, 0.709], [0.960, 0.542, 0.960], [0.709, 0.709, 0.291], [0.000, 0.000, 0.000], [0.960, 0.960, 0.542], [0.541, 0.541, 0.959], [0.290, 0.708, 0.290], [0.250, 0.250, 0.250], [0.542, 0.960, 0.960], [0.709, 0.291, 0.709], [0.708, 0.290, 0.290], [0.290, 0.290, 0.708], [0.125, 0.625, 0.625], [0.625, 0.625, 0.625], [0.625, 0.125, 0.625], [0.625, 0.625, 0.125]],
  "formation_enthalpy_0k_ev_per_atom": -1.87,
  "mass_density_g_cm3": 9.67,
  "final_energy_ev_per_atom": -22.034
}